The following is a DFT calculation (r2SCAN) of an optimized crystal structure of RbSc5Te8.

Computed properties:
Electronic total energy   -21.0558 eV per atom
Formation enthalpy at 0 K   -1.466 eV/atom

Cell lengths 10.965, 10.965, 10.343 Å; angles 104.15, 104.15, 22.01 degrees
Sites, in units of the cell vectors:
Rb 0.000 0.000 0.000
Sc 0.156 0.156 0.476
Sc 0.205 0.205 0.844
Sc 0.500 0.500 0.500
Sc 0.795 0.795 0.156
Sc 0.844 0.844 0.524
Te 0.075 0.075 0.664
Te 0.262 0.262 0.342
Te 0.335 0.335 0.003
Te 0.415 0.415 0.684
Te 0.585 0.585 0.316
Te 0.665 0.665 0.997
Te 0.738 0.738 0.658
Te 0.925 0.925 0.336



The following is a DFT calculation (r2SCAN) of an optimized crystal structure of Ta2Cr3Si.

Computed properties:
Electronic total energy   -25.4690 eV per atom
Formation enthalpy at 0 K   -0.273 eV/atom

Cell lengths 4.835, 4.835, 8.060 Å; angles 90.00, 90.00, 120.00 degrees
Sites, in units of the cell vectors:
Ta 0.333 0.667 0.065
Ta 0.333 0.667 0.435
Ta 0.667 0.333 0.565
Ta 0.667 0.333 0.935
Cr 0.172 0.344 0.750
Cr 0.172 0.828 0.750
Cr 0.344 0.172 0.250
Cr 0.656 0.828 0.750
Cr 0.828 0.172 0.250
Cr 0.828 0.656 0.250
Si 0.000 0.000 0.000
Si 0.000 0.000 0.500



The following is a DFT calculation (r2SCAN) of an optimized crystal structure of NdCo2As2.

Computed properties:
Electronic total energy   -17.8126 eV per atom
Formation enthalpy at 0 K   -0.752 eV/atom

Cell lengths 5.796, 5.796, 5.796 Å; angles 139.13, 139.13, 59.18 degrees
Sites, in units of the cell vectors:
Nd 0.000 0.000 0.000
Co 0.250 0.750 0.500
Co 0.750 0.250 0.500
As 0.363 0.363 0.000
As 0.637 0.637 0.000



The following is a DFT calculation (r2SCAN) of an optimized crystal structure of LiYAu2.

Computed properties:
Electronic total energy   -31.7264 eV per atom
Formation enthalpy at 0 K   -0.759 eV/atom

Cell lengths 4.828, 4.828, 4.828 Å; angles 60.00, 60.00, 60.00 degrees
Sites, in units of the cell vectors:
Li 0.000 0.000 0.000
Y 0.500 0.500 0.500
Au 0.250 0.250 0.250
Au 0.750 0.750 0.750



The following is a DFT calculation (r2SCAN) of an optimized crystal structure of NbFeP.

Computed properties:
Electronic total energy   -16.7932 eV per atom
Formation enthalpy at 0 K   -0.743 eV/atom

Cell lengths 6.134, 3.581, 6.915 Å; angles 90.00, 90.00, 90.00 degrees
Sites, in units of the cell vectors:
Nb 0.020 0.250 0.177
Nb 0.480 0.750 0.677
Nb 0.520 0.250 0.323
Nb 0.980 0.750 0.823
Fe 0.141 0.250 0.563
Fe 0.359 0.750 0.063
Fe 0.641 0.250 0.937
Fe 0.859 0.750 0.437
P 0.220 0.750 0.383
P 0.280 0.250 0.883
P 0.720 0.750 0.117
P 0.780 0.250 0.617



The following is a DFT calculation (r2SCAN) of an optimized crystal structure of Na3Si34.

Computed properties:
Electronic total energy   -8.3108 eV per atom
Formation enthalpy at 0 K   0.041 eV/atom

Cell lengths 10.370, 10.370, 10.370 Å; angles 59.93, 59.93, 59.93 degrees
Sites, in units of the cell vectors:
Na 0.000 0.000 0.000
Na 0.375 0.375 0.375
Na 0.625 0.625 0.625
Si 0.005 0.237 0.629
Si 0.005 0.629 0.237
Si 0.005 0.629 0.629
Si 0.125 0.125 0.125
Si 0.152 0.782 0.782
Si 0.218 0.218 0.218
Si 0.218 0.218 0.848
Si 0.218 0.848 0.218
Si 0.237 0.005 0.629
Si 0.237 0.629 0.005
Si 0.237 0.629 0.629
Si 0.371 0.371 0.763
Si 0.371 0.371 0.995
Si 0.371 0.763 0.371
Si 0.371 0.763 0.995
Si 0.371 0.995 0.371
Si 0.371 0.995 0.763
Si 0.629 0.005 0.237
Si 0.629 0.005 0.629
Si 0.629 0.237 0.005
Si 0.629 0.237 0.629
Si 0.629 0.629 0.005
Si 0.629 0.629 0.237
Si 0.763 0.371 0.371
Si 0.763 0.371 0.995
Si 0.763 0.995 0.371
Si 0.782 0.152 0.782
Si 0.782 0.782 0.152
Si 0.782 0.782 0.782
Si 0.848 0.218 0.218
Si 0.875 0.875 0.875
Si 0.995 0.371 0.371
Si 0.995 0.371 0.763
Si 0.995 0.763 0.371



The following is a DFT calculation (r2SCAN) of an optimized crystal structure of Sc2Te3.

Computed properties:
Electronic total energy   -21.2488 eV per atom
Formation enthalpy at 0 K   -1.439 eV/atom

Cell lengths 7.189, 7.190, 13.848 Å; angles 94.93, 94.99, 119.99 degrees
Sites, in units of the cell vectors:
Sc 0.000 0.000 0.000
Sc 0.083 0.749 0.246
Sc 0.170 0.836 0.509
Sc 0.329 0.665 0.000
Sc 0.500 0.500 0.500
Sc 0.671 0.335 0.000
Sc 0.830 0.164 0.491
Sc 0.917 0.251 0.754
Te 0.041 0.376 0.126
Te 0.131 0.121 0.376
Te 0.203 0.531 0.624
Te 0.290 0.292 0.876
Te 0.374 0.040 0.124
Te 0.449 0.786 0.376
Te 0.551 0.214 0.624
Te 0.626 0.960 0.876
Te 0.710 0.708 0.124
Te 0.797 0.469 0.376
Te 0.869 0.879 0.624
Te 0.959 0.624 0.874



The following is a DFT calculation (r2SCAN) of an optimized crystal structure of ZrCu.

Computed properties:
Electronic total energy   -16.9367 eV per atom
Formation enthalpy at 0 K   -0.138 eV/atom

Cell lengths 3.249, 4.108, 5.434 Å; angles 90.00, 106.37, 90.00 degrees
Sites, in units of the cell vectors:
Zr 0.148 0.250 0.301
Zr 0.852 0.750 0.699
Cu 0.431 0.250 0.859
Cu 0.569 0.750 0.141



The following is a DFT calculation (r2SCAN) of an optimized crystal structure of La3SbO3.

Computed properties:
Electronic total energy   -22.1022 eV per atom
Formation enthalpy at 0 K   -3.122 eV/atom

Cell lengths 7.236, 7.236, 12.362 Å; angles 117.32, 117.32, 33.06 degrees
Sites, in units of the cell vectors:
La 0.119 0.119 0.444
La 0.128 0.128 0.899
La 0.346 0.346 0.793
La 0.654 0.654 0.207
La 0.872 0.872 0.101
La 0.881 0.881 0.556
Sb 0.378 0.378 0.318
Sb 0.622 0.622 0.682
O 0.065 0.065 0.202
O 0.311 0.311 0.589
O 0.339 0.339 0.988
O 0.661 0.661 0.012
O 0.689 0.689 0.411
O 0.935 0.935 0.798



The following is a DFT calculation (r2SCAN) of an optimized crystal structure of BaCO3.

Computed properties:
Electronic total energy   -13.2592 eV per atom
Formation enthalpy at 0 K   -2.386 eV/atom

Cell lengths 4.574, 5.315, 6.903 Å; angles 90.00, 109.20, 90.00 degrees
Sites, in units of the cell vectors:
Ba 0.102 0.000 0.270
Ba 0.898 0.500 0.730
C 0.498 0.499 0.258
C 0.502 0.999 0.742
O 0.211 0.499 0.139
O 0.363 0.210 0.679
O 0.363 0.789 0.678
O 0.637 0.289 0.322
O 0.637 0.710 0.321
O 0.789 0.999 0.861



The following is a DFT calculation (r2SCAN) of an optimized crystal structure of V3OF11.

Computed properties:
Electronic total energy   -8.4509 eV per atom
Formation enthalpy at 0 K   -2.942 eV/atom
Energy relative to the lowest polymorph listed for this composition   0.002 eV/atom

Cell lengths 5.335, 5.102, 13.993 Å; angles 90.00, 99.82, 90.00 degrees
Sites, in units of the cell vectors:
V 0.100 0.000 0.166
V 0.250 0.489 0.500
V 0.371 0.017 0.830
V 0.629 0.517 0.170
V 0.750 0.989 0.500
V 0.900 0.500 0.834
O 0.114 0.194 0.808
O 0.886 0.694 0.192
F 0.046 0.889 0.046
F 0.069 0.798 0.528
F 0.116 0.075 0.288
F 0.213 0.578 0.378
F 0.217 0.702 0.862
F 0.277 0.293 0.140
F 0.283 0.386 0.620
F 0.387 0.887 0.716
F 0.406 0.795 0.195
F 0.435 0.178 0.473
F 0.472 0.075 0.954
F 0.528 0.575 0.046
F 0.565 0.678 0.527
F 0.594 0.295 0.805
F 0.613 0.387 0.284
F 0.717 0.886 0.380
F 0.723 0.793 0.860
F 0.783 0.202 0.138
F 0.787 0.078 0.622
F 0.884 0.575 0.712
F 0.931 0.298 0.472
F 0.954 0.389 0.954



The following is a DFT calculation (r2SCAN) of an optimized crystal structure of EuSbPt.

Computed properties:
Electronic total energy   -39.7076 eV per atom
Formation enthalpy at 0 K   -1.136 eV/atom

Cell lengths 7.599, 4.657, 7.955 Å; angles 90.00, 90.00, 90.00 degrees
Sites, in units of the cell vectors:
Eu 0.009 0.250 0.197
Eu 0.491 0.750 0.697
Eu 0.509 0.250 0.303
Eu 0.991 0.750 0.803
Sb 0.185 0.250 0.590
Sb 0.315 0.750 0.090
Sb 0.685 0.250 0.910
Sb 0.815 0.750 0.410
Pt 0.196 0.750 0.415
Pt 0.304 0.250 0.915
Pt 0.696 0.750 0.085
Pt 0.804 0.250 0.585